Entry 1:
VASP calculation (GGA-PBE) on a geometry-optimized Rb3BP2 structure.

Properties
Total energy = -3.7825 eV/atom
Formation energy = -0.37 eV/atom

Cell: 6.735 6.735 9.434 Å, 75.55 75.55 87.93°
Positions (direct):
Rb 0.345 0.243 0.981
Rb 0.757 0.655 0.519
Rb 0.655 0.757 0.019
Rb 0.243 0.345 0.481
Rb 0.155 0.845 0.750
Rb 0.845 0.155 0.250
B 0.217 0.783 0.250
B 0.783 0.217 0.750
P 0.344 0.902 0.353
P 0.098 0.656 0.147
P 0.902 0.344 0.853
P 0.656 0.098 0.647

=====

Entry 2:
VASP calculation (GGA-PBE) on a geometry-optimized K2CO3 structure.

Properties
Energy with MP2020 corrections = -6.49 eV per atom
Total energy = -6.1488 eV/atom
Formation energy = -2.11 eV/atom

Cell: 5.785 5.785 7.151 Å, 90.00 90.00 120.00°
Positions (direct):
K 0.667 0.333 0.250
K 0.333 0.667 0.750
K 0.000 0.000 0.500
K 0.000 0.000 0.000
C 0.333 0.667 0.250
C 0.667 0.333 0.750
O 0.203 0.406 0.250
O 0.797 0.594 0.750
O 0.406 0.203 0.750
O 0.203 0.797 0.250
O 0.594 0.797 0.250
O 0.797 0.203 0.750

=====

Entry 3:
VASP calculation (GGA-PBE) on a geometry-optimized Nd4CdPd structure.

Properties
Total energy = -4.5925 eV/atom
Formation energy = -0.40 eV/atom

Cell: 10.037 10.037 10.037 Å, 60.00 60.00 60.00°
Positions (direct):
Nd 0.351 0.351 0.351
Nd 0.351 0.351 0.947
Nd 0.351 0.947 0.351
Nd 0.947 0.351 0.351
Nd 0.808 0.192 0.192
Nd 0.192 0.808 0.808
Nd 0.192 0.808 0.192
Nd 0.808 0.192 0.808
Nd 0.192 0.192 0.808
Nd 0.808 0.808 0.192
Nd 0.935 0.565 0.565
Nd 0.565 0.935 0.935
Nd 0.565 0.935 0.565
Nd 0.935 0.565 0.935
Nd 0.565 0.565 0.935
Nd 0.935 0.935 0.565
Cd 0.580 0.580 0.580
Cd 0.580 0.580 0.259
Cd 0.580 0.259 0.580
Cd 0.259 0.580 0.580
Pd 0.143 0.143 0.143
Pd 0.143 0.143 0.570
Pd 0.143 0.570 0.143
Pd 0.570 0.143 0.143

=====

Entry 4:
VASP calculation (GGA-PBE) on a geometry-optimized Ta2GaC structure.

Properties
Total energy = -9.5094 eV/atom
Formation energy = -0.52 eV/atom

Cell: 3.129 3.129 13.625 Å, 90.00 90.00 120.00°
Positions (direct):
Ta 0.333 0.667 0.410
Ta 0.667 0.333 0.590
Ta 0.667 0.333 0.910
Ta 0.333 0.667 0.090
Ga 0.333 0.667 0.750
Ga 0.667 0.333 0.250
C 0.000 0.000 0.000
C 0.000 0.000 0.500

=====

Entry 5:
VASP calculation (GGA-PBE) on a geometry-optimized Na3InS3 structure.

Properties
Energy with MP2020 corrections = -3.93 eV per atom
Total energy = -3.7121 eV/atom
Formation energy = -1.20 eV/atom

Cell: 10.537 10.537 7.467 Å, 69.35 69.35 79.83°
Positions (direct):
Na 0.009 0.173 0.457
Na 0.827 0.991 0.043
Na 0.991 0.827 0.543
Na 0.173 0.009 0.957
Na 0.230 0.363 0.587
Na 0.637 0.770 0.913
Na 0.770 0.637 0.413
Na 0.363 0.230 0.087
Na 0.722 0.278 0.750
Na 0.278 0.722 0.250
Na 0.436 0.564 0.750
Na 0.564 0.436 0.250
In 0.428 0.917 0.404
In 0.572 0.083 0.596
In 0.917 0.428 0.904
In 0.083 0.572 0.096
S 0.887 0.414 0.262
S 0.414 0.887 0.762
S 0.586 0.113 0.238
S 0.113 0.586 0.738
S 0.996 0.217 0.814
S 0.783 0.004 0.686
S 0.004 0.783 0.186
S 0.217 0.996 0.314
S 0.705 0.526 0.829
S 0.474 0.295 0.671
S 0.295 0.474 0.171
S 0.526 0.705 0.329

=====

Entry 6:
VASP calculation (GGA-PBE) on a geometry-optimized SrLa4Si3O13 structure.

Properties
Energy with MP2020 corrections = -8.58 eV per atom
Total energy = -8.1593 eV/atom
Formation energy = -3.73 eV/atom

Cell: 9.768 9.768 7.273 Å, 90.00 90.00 120.00°
Positions (direct):
Sr 0.333 0.667 0.500
Sr 0.667 0.333 0.000
La 0.667 0.333 0.500
La 0.333 0.667 0.000
La 0.232 0.989 0.250
La 0.756 0.768 0.250
La 0.011 0.244 0.250
La 0.768 0.011 0.750
La 0.244 0.232 0.750
La 0.989 0.756 0.750
Si 0.971 0.600 0.249
Si 0.630 0.029 0.249
Si 0.400 0.370 0.249
Si 0.029 0.400 0.749
Si 0.370 0.971 0.749
Si 0.600 0.630 0.749
O 0.163 0.679 0.245
O 0.516 0.837 0.245
O 0.321 0.484 0.245
O 0.837 0.321 0.745
O 0.484 0.163 0.745
O 0.679 0.516 0.745
O 0.910 0.658 0.431
O 0.747 0.090 0.431
O 0.342 0.253 0.431
O 0.090 0.342 0.931
O 0.253 0.910 0.931
O 0.658 0.747 0.931
O 0.088 0.338 0.570
O 0.250 0.912 0.570
O 0.662 0.750 0.570
O 0.912 0.662 0.070
O 0.750 0.088 0.070
O 0.338 0.250 0.070
O 0.877 0.406 0.255
O 0.529 0.123 0.255
O 0.594 0.471 0.255
O 0.123 0.594 0.755
O 0.471 0.877 0.755
O 0.406 0.529 0.755
O 0.000 0.000 0.251
O 0.000 0.000 0.751

=====

Entry 7:
VASP calculation (GGA-PBE) on a geometry-optimized Zr2P2SO12 structure.

Properties
Energy with MP2020 corrections = -8.35 eV per atom
Total energy = -7.8685 eV/atom
Formation energy = -2.97 eV/atom

Cell: 9.113 9.028 15.501 Å, 54.45 90.00 90.00°
Positions (direct):
Zr 0.287 0.135 0.617
Zr 0.783 0.871 0.886
Zr 0.215 0.634 0.116
Zr 0.709 0.374 0.376
Zr 0.217 0.871 0.386
Zr 0.713 0.135 0.117
Zr 0.291 0.374 0.876
Zr 0.785 0.634 0.616
P 0.139 0.038 0.855
P 0.862 0.749 0.145
P 0.359 0.254 0.355
P 0.861 0.038 0.355
P 0.641 0.254 0.855
P 0.138 0.749 0.645
P 0.500 0.534 0.000
P 0.500 0.534 0.500
S 0.641 0.963 0.645
S 0.359 0.963 0.145
S 0.000 0.466 0.499
S 0.000 0.466 0.999
O 0.607 0.696 0.937
O 0.100 0.309 0.561
O 0.899 0.429 0.440
O 0.394 0.571 0.063
O 0.900 0.309 0.061
O 0.393 0.696 0.437
O 0.606 0.571 0.563
O 0.101 0.429 0.940
O 0.738 0.948 0.726
O 0.239 0.055 0.769
O 0.760 0.594 0.230
O 0.260 0.409 0.269
O 0.761 0.055 0.269
O 0.262 0.948 0.226
O 0.740 0.409 0.769
O 0.240 0.594 0.730
O 0.413 0.357 0.578
O 0.918 0.634 0.924
O 0.082 0.481 0.077
O 0.588 0.513 0.422
O 0.082 0.634 0.424
O 0.587 0.357 0.078
O 0.412 0.513 0.922
O 0.918 0.481 0.577
O 0.485 0.973 0.670
O 0.978 0.021 0.832
O 0.023 0.685 0.168
O 0.522 0.313 0.332
O 0.022 0.021 0.332
O 0.515 0.973 0.170
O 0.478 0.313 0.832
O 0.977 0.685 0.668
O 0.659 0.086 0.852
O 0.161 0.916 0.647
O 0.839 0.208 0.354
O 0.344 0.796 0.148
O 0.839 0.916 0.147
O 0.341 0.086 0.352
O 0.656 0.796 0.648
O 0.161 0.208 0.854
O 0.681 0.126 0.540
O 0.181 0.866 0.965
O 0.819 0.794 0.036
O 0.319 0.204 0.465
O 0.819 0.866 0.465
O 0.319 0.126 0.040
O 0.681 0.204 0.965
O 0.181 0.794 0.536

=====

Entry 8:
VASP calculation (GGA-PBE) on a geometry-optimized CsTmSiS4 structure.

Properties
Energy with MP2020 corrections = -5.62 eV per atom
Total energy = -5.3305 eV/atom
Formation energy = -1.71 eV/atom

Cell: 6.361 6.715 18.007 Å, 90.00 90.00 90.00°
Positions (direct):
Cs 0.502 0.493 0.967
Cs 0.998 0.507 0.467
Cs 0.002 0.007 0.033
Cs 0.498 0.993 0.533
Tm 0.292 0.479 0.229
Tm 0.208 0.521 0.729
Tm 0.792 0.021 0.771
Tm 0.708 0.979 0.271
Si 0.792 0.518 0.171
Si 0.708 0.482 0.671
Si 0.292 0.982 0.829
Si 0.208 0.018 0.329
S 0.056 0.511 0.100
S 0.444 0.489 0.600
S 0.556 0.989 0.900
S 0.944 0.011 0.400
S 0.600 0.419 0.780
S 0.900 0.581 0.280
S 0.100 0.081 0.220
S 0.400 0.919 0.720
S 0.566 0.748 0.150
S 0.934 0.252 0.650
S 0.066 0.752 0.850
S 0.434 0.248 0.350
S 0.602 0.254 0.160
S 0.898 0.746 0.660
S 0.102 0.246 0.840
S 0.398 0.754 0.340

=====

Which value of total energy does entry 6 give?
-8.1593 eV/atom

=====

Which formula does entry 5 have?
Na3InS3

=====

What did the seventh record say?
VASP calculation (GGA-PBE) on a geometry-optimized Zr2P2SO12 structure.

Properties
Energy with MP2020 corrections = -8.35 eV per atom
Total energy = -7.8685 eV/atom
Formation energy = -2.97 eV/atom

Cell: 9.113 9.028 15.501 Å, 54.45 90.00 90.00°
Positions (direct):
Zr 0.287 0.135 0.617
Zr 0.783 0.871 0.886
Zr 0.215 0.634 0.116
Zr 0.709 0.374 0.376
Zr 0.217 0.871 0.386
Zr 0.713 0.135 0.117
Zr 0.291 0.374 0.876
Zr 0.785 0.634 0.616
P 0.139 0.038 0.855
P 0.862 0.749 0.145
P 0.359 0.254 0.355
P 0.861 0.038 0.355
P 0.641 0.254 0.855
P 0.138 0.749 0.645
P 0.500 0.534 0.000
P 0.500 0.534 0.500
S 0.641 0.963 0.645
S 0.359 0.963 0.145
S 0.000 0.466 0.499
S 0.000 0.466 0.999
O 0.607 0.696 0.937
O 0.100 0.309 0.561
O 0.899 0.429 0.440
O 0.394 0.571 0.063
O 0.900 0.309 0.061
O 0.393 0.696 0.437
O 0.606 0.571 0.563
O 0.101 0.429 0.940
O 0.738 0.948 0.726
O 0.239 0.055 0.769
O 0.760 0.594 0.230
O 0.260 0.409 0.269
O 0.761 0.055 0.269
O 0.262 0.948 0.226
O 0.740 0.409 0.769
O 0.240 0.594 0.730
O 0.413 0.357 0.578
O 0.918 0.634 0.924
O 0.082 0.481 0.077
O 0.588 0.513 0.422
O 0.082 0.634 0.424
O 0.587 0.357 0.078
O 0.412 0.513 0.922
O 0.918 0.481 0.577
O 0.485 0.973 0.670
O 0.978 0.021 0.832
O 0.023 0.685 0.168
O 0.522 0.313 0.332
O 0.022 0.021 0.332
O 0.515 0.973 0.170
O 0.478 0.313 0.832
O 0.977 0.685 0.668
O 0.659 0.086 0.852
O 0.161 0.916 0.647
O 0.839 0.208 0.354
O 0.344 0.796 0.148
O 0.839 0.916 0.147
O 0.341 0.086 0.352
O 0.656 0.796 0.648
O 0.161 0.208 0.854
O 0.681 0.126 0.540
O 0.181 0.866 0.965
O 0.819 0.794 0.036
O 0.319 0.204 0.465
O 0.819 0.866 0.465
O 0.319 0.126 0.040
O 0.681 0.204 0.965
O 0.181 0.794 0.536